Entry 1:
PBE-GGA AlSnO3, optimized geometry; space-group type = P6_3/mmc, No. 194; DFT formation energy = -2.014 eV/atom; volume = 12.7 A^3/atom; total moment = 0.01 Bohr magnetons per cell
1.0
0.087 1.588 3.042
-2.995 -0.456 -1.613
-1.435 -10.965 5.764
O Sn Al
6 2 2
Direct
0.667 0.333 0.568
0.000 0.000 0.750
0.333 0.667 0.068
0.667 0.333 0.932
0.000 0.000 0.250
0.333 0.667 0.432
0.667 0.333 0.750
0.333 0.667 0.250
0.000 0.000 0.000
0.000 0.000 0.500

Entry 2:
PBE-GGA AlSnO3, optimized geometry; space-group type = P6_3cm, No. 185; DFT formation energy = -2.242 eV/atom; volume = 11.9 A^3/atom; total moment = 0.32 Bohr magnetons per cell
1.0
-2.241 -3.489 -4.010
0.780 -1.920 5.384
-11.346 3.829 3.009
Al O Sn
6 18 6
Direct
0.333 0.667 0.771
0.333 0.667 0.271
0.667 0.333 0.771
0.000 0.000 0.232
0.000 0.000 0.732
0.667 0.333 0.271
0.000 0.000 0.879
0.000 0.455 0.842
0.545 0.000 0.342
0.299 0.000 0.183
0.455 0.000 0.842
0.000 0.299 0.183
0.455 0.455 0.342
0.299 0.299 0.683
0.000 0.545 0.342
0.333 0.667 0.028
0.000 0.701 0.683
0.667 0.333 0.028
0.667 0.333 0.528
0.333 0.667 0.528
0.701 0.000 0.683
0.000 0.000 0.379
0.701 0.701 0.183
0.545 0.545 0.842
0.000 0.700 0.497
0.300 0.000 0.997
0.000 0.300 0.997
0.300 0.300 0.497
0.700 0.700 0.997
0.700 0.000 0.497

What did the first record say?
PBE-GGA AlSnO3, optimized geometry; space-group type = P6_3/mmc, No. 194; DFT formation energy = -2.014 eV/atom; volume = 12.7 A^3/atom; total moment = 0.01 Bohr magnetons per cell
1.0
0.087 1.588 3.042
-2.995 -0.456 -1.613
-1.435 -10.965 5.764
O Sn Al
6 2 2
Direct
0.667 0.333 0.568
0.000 0.000 0.750
0.333 0.667 0.068
0.667 0.333 0.932
0.000 0.000 0.250
0.333 0.667 0.432
0.667 0.333 0.750
0.333 0.667 0.250
0.000 0.000 0.000
0.000 0.000 0.500